Entry 1:
The following is a DFT calculation (GGA-PBE) of a relaxed NaPH2O4 crystal.

abc: 6.901 13.504 7.547
angles: 90.00 93.70 90.00
Sites, in units of the cell vectors:
Na 0.132 0.100 0.239
Na 0.132 0.400 0.739
Na 0.363 0.600 0.004
Na 0.363 0.900 0.504
Na 0.637 0.100 0.496
Na 0.637 0.400 0.996
Na 0.868 0.600 0.261
Na 0.868 0.900 0.761
P 0.168 0.133 0.640
P 0.168 0.367 0.140
P 0.325 0.627 0.519
P 0.325 0.873 0.019
P 0.675 0.127 0.981
P 0.675 0.373 0.481
P 0.832 0.633 0.860
P 0.832 0.867 0.360
H 0.011 0.097 0.874
H 0.011 0.403 0.374
H 0.053 0.738 0.982
H 0.053 0.762 0.482
H 0.442 0.222 0.842
H 0.442 0.278 0.342
H 0.496 0.032 0.152
H 0.496 0.468 0.652
H 0.504 0.532 0.348
H 0.504 0.968 0.848
H 0.558 0.722 0.658
H 0.558 0.778 0.158
H 0.947 0.238 0.518
H 0.947 0.262 0.018
H 0.989 0.597 0.626
H 0.989 0.903 0.126
O 0.023 0.663 0.983
O 0.023 0.837 0.483
O 0.087 0.059 0.785
O 0.087 0.441 0.285
O 0.109 0.652 0.478
O 0.109 0.848 0.978
O 0.252 0.225 0.730
O 0.252 0.275 0.230
O 0.295 0.072 0.525
O 0.295 0.428 0.025
O 0.354 0.547 0.662
O 0.354 0.953 0.162
O 0.416 0.596 0.342
O 0.416 0.904 0.842
O 0.424 0.727 0.585
O 0.424 0.773 0.085
O 0.576 0.227 0.915
O 0.576 0.273 0.415
O 0.584 0.096 0.158
O 0.584 0.404 0.658
O 0.646 0.047 0.838
O 0.646 0.453 0.338
O 0.705 0.572 0.975
O 0.705 0.928 0.475
O 0.748 0.725 0.770
O 0.748 0.775 0.270
O 0.891 0.152 0.022
O 0.891 0.348 0.522
O 0.913 0.559 0.715
O 0.913 0.941 0.215
O 0.977 0.163 0.517
O 0.977 0.337 0.017

Summary:
As for the energy of formation from the pure elements: -2.149 eV per atom. The excess energy over the best structure of this formula in the dataset is 0 meV per atom. As for the crystal system: monoclinic. As for the total energy: -382.1 eV/cell.

Entry 2:
The following is a DFT calculation (GGA-PBE) of a relaxed Nb5H50C12N3O21 crystal.

abc: 11.168 12.376 13.533
angles: 85.87 68.44 87.21
Sites, in units of the cell vectors:
Nb 0.021 0.059 0.261
Nb 0.022 0.227 0.046
Nb 0.145 0.965 0.017
Nb 0.148 0.131 0.802
Nb 0.264 0.870 0.774
Nb 0.736 0.130 0.226
Nb 0.852 0.869 0.198
Nb 0.855 0.035 0.983
Nb 0.978 0.773 0.954
Nb 0.979 0.941 0.739
H 0.022 0.692 0.660
H 0.027 0.406 0.605
H 0.033 0.576 0.814
H 0.051 0.528 0.219
H 0.066 0.415 0.364
H 0.075 0.635 0.531
H 0.102 0.172 0.575
H 0.102 0.441 0.792
H 0.110 0.158 0.458
H 0.154 0.731 0.127
H 0.158 0.485 0.968
H 0.165 0.893 0.402
H 0.173 0.459 0.506
H 0.181 0.374 0.617
H 0.196 0.830 0.514
H 0.200 0.603 0.911
H 0.210 0.616 0.253
H 0.213 0.328 0.138
H 0.217 0.629 0.066
H 0.226 0.653 0.674
H 0.229 0.756 0.396
H 0.277 0.564 0.333
H 0.282 0.387 0.222
H 0.288 0.273 0.448
H 0.290 0.592 0.546
H 0.294 0.517 0.663
H 0.296 0.042 0.392
H 0.301 0.149 0.168
H 0.320 0.440 0.087
H 0.323 0.985 0.507
H 0.325 0.444 0.843
H 0.327 0.347 0.771
H 0.344 0.933 0.237
H 0.351 0.215 0.993
H 0.363 0.209 0.257
H 0.391 0.716 0.921
H 0.403 0.451 0.389
H 0.413 0.803 0.508
H 0.414 0.800 0.239
H 0.441 0.261 0.385
H 0.445 0.333 0.941
H 0.451 0.724 0.394
H 0.453 0.161 0.612
H 0.455 0.585 0.944
H 0.459 0.020 0.388
H 0.470 0.135 0.148
H 0.478 0.791 0.034
H 0.487 0.549 0.312
H 0.491 0.641 0.810
H 0.492 0.084 0.767
H 0.508 0.916 0.233
H 0.509 0.359 0.190
H 0.513 0.451 0.688
H 0.522 0.209 0.966
H 0.530 0.865 0.852
H 0.541 0.980 0.612
H 0.545 0.415 0.056
H 0.547 0.839 0.388
H 0.549 0.276 0.606
H 0.555 0.667 0.059
H 0.559 0.739 0.615
H 0.586 0.200 0.761
H 0.587 0.197 0.492
H 0.597 0.549 0.611
H 0.609 0.284 0.079
H 0.637 0.791 0.743
H 0.649 0.785 0.007
H 0.656 0.067 0.763
H 0.673 0.653 0.229
H 0.675 0.556 0.157
H 0.677 0.015 0.493
H 0.680 0.560 0.913
H 0.699 0.851 0.832
H 0.704 0.958 0.608
H 0.706 0.483 0.337
H 0.710 0.408 0.454
H 0.712 0.727 0.552
H 0.718 0.613 0.778
H 0.723 0.436 0.667
H 0.771 0.244 0.604
H 0.774 0.347 0.326
H 0.783 0.371 0.934
H 0.787 0.672 0.862
H 0.790 0.384 0.747
H 0.800 0.397 0.089
H 0.804 0.170 0.486
H 0.819 0.626 0.383
H 0.827 0.541 0.494
H 0.835 0.107 0.598
H 0.842 0.515 0.032
H 0.846 0.269 0.873
H 0.890 0.842 0.542
H 0.898 0.559 0.208
H 0.898 0.828 0.425
H 0.925 0.365 0.469
H 0.934 0.585 0.636
H 0.949 0.472 0.781
H 0.967 0.424 0.186
H 0.973 0.594 0.395
H 0.978 0.308 0.340
C 0.029 0.618 0.617
C 0.044 0.504 0.768
C 0.124 0.435 0.590
C 0.228 0.835 0.427
C 0.239 0.578 0.632
C 0.297 0.367 0.141
C 0.360 0.990 0.420
C 0.383 0.187 0.175
C 0.411 0.883 0.263
C 0.434 0.260 0.993
C 0.450 0.805 0.421
C 0.473 0.659 0.892
C 0.527 0.341 0.108
C 0.550 0.195 0.579
C 0.566 0.740 0.007
C 0.589 0.117 0.737
C 0.617 0.813 0.825
C 0.640 0.010 0.580
C 0.703 0.633 0.859
C 0.761 0.422 0.368
C 0.772 0.165 0.573
C 0.876 0.565 0.410
C 0.956 0.496 0.232
C 0.971 0.382 0.383
N 0.109 0.534 0.652
N 0.362 0.878 0.383
N 0.410 0.289 0.104
N 0.590 0.711 0.896
N 0.638 0.122 0.617
N 0.891 0.466 0.348
O 0.038 0.828 0.077
O 0.052 0.960 0.899
O 0.057 0.090 0.712
O 0.077 0.194 0.165
O 0.081 0.074 0.364
O 0.082 0.359 0.996
O 0.131 0.208 0.503
O 0.156 0.876 0.687
O 0.158 0.744 0.865
O 0.175 0.120 0.953
O 0.176 0.987 0.142
O 0.193 0.585 0.326
O 0.216 0.261 0.750
O 0.219 0.673 0.123
O 0.227 0.540 0.947
O 0.289 0.899 0.918
O 0.292 0.030 0.745
O 0.369 0.313 0.416
O 0.383 0.397 0.788
O 0.405 0.531 0.372
O 0.413 0.810 0.692
O 0.587 0.190 0.308
O 0.595 0.469 0.628
O 0.617 0.603 0.212
O 0.631 0.687 0.584
O 0.708 0.970 0.255
O 0.711 0.101 0.082
O 0.773 0.460 0.053
O 0.781 0.327 0.877
O 0.784 0.739 0.250
O 0.807 0.415 0.674
O 0.824 0.013 0.858
O 0.825 0.880 0.047
O 0.842 0.256 0.135
O 0.844 0.124 0.313
O 0.869 0.792 0.497
O 0.918 0.641 0.004
O 0.919 0.926 0.636
O 0.923 0.806 0.835
O 0.943 0.910 0.288
O 0.948 0.040 0.101
O 0.962 0.172 0.923

Summary:
As for the energy of formation from the pure elements: -1.001 eV per atom. As for the crystal system: triclinic. As for the total energy: -1072.9 eV/cell.

Entry 3:
The following is a DFT calculation (GGA-PBE) of a relaxed ZnSn2O4 crystal.

abc: 6.520 6.520 6.520
angles: 121.54 113.37 94.60
Sites, in units of the cell vectors:
Zn 0.000 0.000 0.000
Zn 0.500 0.000 0.500
Sn 0.000 0.000 0.500
Sn 0.000 0.500 0.000
Sn 0.389 0.639 0.750
Sn 0.611 0.361 0.250
O 0.180 0.235 0.945
O 0.210 0.765 0.445
O 0.235 0.218 0.483
O 0.235 0.752 0.017
O 0.765 0.248 0.983
O 0.765 0.782 0.517
O 0.790 0.235 0.555
O 0.820 0.765 0.055

Summary:
As for the energy of formation from the pure elements: -1.758 eV per atom. The excess energy over the best structure of this formula in the dataset is 22 meV per atom. As for the crystal system: orthorhombic. As for the total energy: -77.3 eV/cell.

Entry 4:
The following is a DFT calculation (GGA-PBE) of a relaxed Sr4Al crystal.

abc: 9.219 9.219 9.219
angles: 60.00 60.00 60.00
Sites, in units of the cell vectors:
Sr 0.214 0.762 0.762
Sr 0.238 0.238 0.238
Sr 0.238 0.238 0.786
Sr 0.238 0.786 0.238
Sr 0.762 0.214 0.762
Sr 0.762 0.762 0.214
Sr 0.762 0.762 0.762
Sr 0.786 0.238 0.238
Al 0.375 0.375 0.375
Al 0.625 0.625 0.625

Summary:
As for the energy of formation from the pure elements: 0.325 eV per atom. As for the crystal system: cubic. As for the total energy: -17.8 eV/cell.

no.,ρ (g cm⁻³)
1,2.27
2,1.99
3,6.04
4,2.26